Entry from the Materials Project database: a relaxed structure of TiAgPO5 (PBE).

- E (eV per formula unit) = -58.1
- calculated density (g cm⁻³) = 4.12
- SG = Pna2_1
- energy of formation (meV/atom) = -2585

Geometry as POSCAR:
```
TiAgPO5
1.0
12.677 0.000 0.000
0.000 6.336 0.000
0.000 0.000 10.705
Ti Ag P O
8 8 8 40
direct
0.129 0.032 0.000 Ti
0.224 0.294 0.734 Ti
0.276 0.794 0.234 Ti
0.371 0.532 0.500 Ti
0.629 0.468 0.000 Ti
0.724 0.206 0.734 Ti
0.776 0.706 0.234 Ti
0.871 0.968 0.500 Ti
0.112 0.745 0.605 Ag
0.149 0.313 0.293 Ag
0.351 0.813 0.793 Ag
0.388 0.245 0.105 Ag
0.612 0.755 0.605 Ag
0.649 0.187 0.293 Ag
0.851 0.687 0.793 Ag
0.888 0.255 0.105 Ag
0.021 0.845 0.270 P
0.183 0.537 0.002 P
0.317 0.037 0.502 P
0.479 0.345 0.770 P
0.521 0.655 0.270 P
0.683 0.963 0.002 P
0.817 0.463 0.502 P
0.979 0.155 0.770 P
0.007 0.927 0.406 O
0.029 0.035 0.178 O
0.071 0.303 0.732 O
0.108 0.728 0.996 O
0.119 0.341 0.042 O
0.124 0.711 0.266 O
0.207 0.059 0.865 O
0.227 0.072 0.600 O
0.236 0.506 0.873 O
0.248 0.002 0.120 O
0.252 0.502 0.620 O
0.264 0.006 0.373 O
0.273 0.572 0.100 O
0.293 0.559 0.365 O
0.376 0.211 0.766 O
0.381 0.841 0.542 O
0.392 0.228 0.496 O
0.429 0.803 0.232 O
0.471 0.535 0.678 O
0.493 0.427 0.906 O
0.507 0.573 0.406 O
0.529 0.465 0.178 O
0.571 0.197 0.732 O
0.608 0.772 0.996 O
0.619 0.159 0.042 O
0.624 0.789 0.266 O
0.707 0.441 0.865 O
0.727 0.428 0.600 O
0.736 0.994 0.873 O
0.748 0.498 0.120 O
0.752 0.998 0.620 O
0.764 0.494 0.373 O
0.773 0.928 0.100 O
0.793 0.941 0.365 O
0.876 0.289 0.766 O
0.881 0.659 0.542 O
0.892 0.272 0.496 O
0.929 0.697 0.232 O
0.971 0.965 0.678 O
0.993 0.073 0.906 O
```